Computed, not measured: an optimized crystal structure of Li2Cr2O7 at the PBE+U level of DFT.

Geometry as POSCAR:
```
Li2Cr2O7
1.0
7.362 0.000 0.000
-3.183 6.485 0.000
-0.012 -2.396 6.083
Cr O Li
4 14 4
Cartesian
4.465 1.419 4.767 Cr
2.513 -1.274 4.857 Cr
-0.298 2.670 1.316 Cr
1.654 5.363 1.226 Cr
3.505 2.360 3.786 O
4.965 2.274 6.047 O
2.807 4.819 2.271 O
0.281 4.063 4.169 O
5.777 0.900 3.953 O
0.656 4.021 0.588 O
3.511 0.067 5.495 O
-0.798 1.814 0.036 O
3.886 0.026 1.913 O
1.815 0.517 0.101 O
2.352 3.572 5.982 O
0.662 1.729 2.297 O
-1.610 3.188 2.130 O
1.360 -0.730 3.812 O
1.076 -0.339 1.812 Li
0.379 2.025 4.286 Li
3.788 2.064 1.797 Li
3.091 4.428 4.271 Li
```

The calculation puts the theoretical density at 2.629 Mg/m³. As for the energy with MP2020 corrections: -7.069 eV/atom. As for the space-group type: No. 2. For the energy above the most stable polymorph in this dataset, the calculation gives 0.061 eV/atom. For the uncorrected energy, the calculation gives -137.9 eV/cell.

Computed, not measured: an optimized crystal structure of Li5Cr4O8 at the PBE+U level of DFT.

Geometry as POSCAR:
```
Li5Cr4O8
1.0
8.382 0.000 0.000
0.000 8.547 0.000
0.000 0.000 8.881
O Li Cr
32 20 16
Cartesian
3.078 3.157 7.697 O
3.138 1.195 5.713 O
7.281 5.472 5.407 O
7.331 0.989 5.352 O
7.329 3.078 3.169 O
5.197 0.992 7.834 O
5.244 5.469 7.609 O
7.401 3.223 7.951 O
5.172 5.324 3.511 O
7.298 7.488 7.584 O
3.107 5.332 1.297 O
1.051 5.262 7.970 O
1.053 7.352 1.272 O
3.210 1.050 0.930 O
3.185 5.265 5.488 O
7.401 5.233 1.269 O
3.090 7.349 3.475 O
5.292 3.075 0.966 O
1.084 3.215 5.738 O
5.304 7.431 5.625 O
3.210 7.587 7.612 O
5.274 1.059 3.144 O
1.113 5.390 3.256 O
7.376 7.556 3.394 O
0.981 0.960 3.172 O
3.140 3.285 3.530 O
0.981 7.497 5.371 O
1.101 1.198 7.915 O
5.242 7.559 0.911 O
1.006 3.282 1.047 O
5.172 3.314 5.710 O
7.269 1.116 1.184 O
1.564 6.855 7.055 Li
5.755 5.966 1.826 Li
6.818 2.581 6.267 Li
3.675 0.481 4.045 Li
7.433 5.507 3.329 Li
0.516 8.066 8.485 Li
0.949 1.233 1.112 Li
3.075 3.209 0.879 Li
1.116 5.338 5.320 Li
7.336 7.585 1.300 Li
3.145 5.236 7.582 Li
5.140 3.041 7.770 Li
4.707 4.755 0.396 Li
1.046 3.312 3.141 Li
7.866 3.793 4.837 Li
3.242 7.314 5.552 Li
7.266 1.065 8.002 Li
2.627 1.692 2.614 Li
5.237 0.962 5.740 Li
5.307 7.483 3.562 Li
1.035 3.214 7.814 Cr
5.226 1.060 1.067 Cr
1.076 7.488 3.321 Cr
5.236 7.491 7.722 Cr
5.267 5.333 5.560 Cr
7.337 1.056 3.281 Cr
7.347 7.487 5.508 Cr
7.340 5.360 7.784 Cr
3.115 1.059 7.762 Cr
3.149 7.460 1.098 Cr
1.042 1.087 5.538 Cr
3.146 3.218 5.600 Cr
7.306 3.215 1.119 Cr
5.233 3.187 3.343 Cr
1.045 5.329 1.159 Cr
3.156 5.334 3.374 Cr
```

The calculation puts the theoretical density at 3.870 Mg/m³. As for the energy with MP2020 corrections: -7.377 eV/atom. As for the space-group type: No. 19. For the energy above the most stable polymorph in this dataset, the calculation gives 0.004 eV/atom. For the uncorrected energy, the calculation gives -447.6 eV/cell.

Computed, not measured: an optimized crystal structure of Li2Cr2O7 at the PBE+U level of DFT.

Geometry as POSCAR:
```
Li2Cr2O7
1.0
-1.732 1.553 -5.616
-7.119 1.273 2.452
2.284 12.774 0.179
Cr O Li
8 28 8
Cartesian
-4.104 13.584 -3.207 Cr
-2.462 2.015 0.222 Cr
-3.962 8.799 0.055 Cr
-2.605 6.801 -3.041 Cr
-5.919 3.319 -1.520 Cr
-6.276 6.496 0.971 Cr
-0.291 9.103 -3.956 Cr
-0.647 12.280 -1.465 Cr
-5.429 5.367 1.844 O
-5.200 7.473 -0.087 O
-1.806 2.903 -0.994 O
-4.496 9.974 1.018 O
-3.809 9.357 -1.465 O
-0.085 6.200 -0.552 O
-6.481 9.400 -2.434 O
-0.123 12.971 -2.856 O
-2.482 8.316 0.645 O
-6.444 2.628 -0.129 O
-3.537 12.742 1.516 O
-3.150 12.592 -4.102 O
-2.757 6.243 -1.520 O
-3.417 3.008 1.117 O
-4.682 4.317 -1.199 O
-5.362 2.064 -2.655 O
-7.193 4.109 -2.215 O
-4.084 7.284 -3.631 O
-4.760 12.697 -1.992 O
-6.425 11.164 -0.492 O
-1.366 8.127 -2.898 O
-1.884 11.283 -1.786 O
-1.137 10.233 -4.829 O
-1.204 13.536 -0.330 O
0.627 11.490 -0.770 O
-2.070 5.626 -4.004 O
-0.141 4.435 -2.493 O
-3.030 2.857 -4.501 O
-1.045 12.400 -4.528 Li
-3.885 10.629 -3.016 Li
-5.724 7.471 -2.413 Li
-5.522 3.200 1.543 Li
-2.681 4.971 0.031 Li
-1.567 3.091 -3.126 Li
-0.843 8.128 -0.572 Li
-4.999 12.509 0.141 Li
```

The calculation puts the theoretical density at 2.581 Mg/m³. As for the energy with MP2020 corrections: -7.090 eV/atom. As for the space-group type: No. 2. For the energy above the most stable polymorph in this dataset, the calculation gives 0.040 eV/atom. For the uncorrected energy, the calculation gives -276.7 eV/cell.

Computed, not measured: an optimized crystal structure of Li2CrO3 at the PBE+U level of DFT.

Geometry as POSCAR:
```
Li2CrO3
1.0
-4.807 1.216 -1.168
2.682 -2.972 -3.021
-4.624 -7.349 4.460
O Li Cr
12 8 4
Cartesian
-2.016 -8.703 1.377 O
-4.498 -7.427 1.775 O
-4.803 -4.613 1.783 O
-4.472 -6.134 -0.498 O
0.098 -3.114 -2.257 O
-6.848 -5.990 2.528 O
-4.732 -0.403 -1.105 O
-2.143 -6.107 1.087 O
-1.946 -4.493 -1.512 O
-2.277 -2.975 0.768 O
-4.604 -3.000 -0.821 O
-2.251 -1.673 -1.503 O
-3.371 -4.555 0.134 Li
-5.753 -7.416 3.601 Li
-0.852 -5.969 -0.517 Li
-8.087 -7.616 1.785 Li
-5.898 -3.136 0.785 Li
-0.997 -1.687 -3.329 Li
-3.421 -5.907 2.738 Li
-3.326 -3.199 -2.467 Li
-1.017 -2.999 -0.659 Cr
-3.240 -7.464 0.370 Cr
-3.509 -1.643 -0.098 Cr
-5.730 -6.105 0.928 Cr
```

The calculation puts the theoretical density at 3.568 Mg/m³. As for the energy with MP2020 corrections: -6.954 eV/atom. As for the space-group type: No. 9. For the energy above the most stable polymorph in this dataset, the calculation gives 0.014 eV/atom. For the uncorrected energy, the calculation gives -150.6 eV/cell.

Computed, not measured: an optimized crystal structure of LiCr10O15 at the PBE+U level of DFT.

Geometry as POSCAR:
```
LiCr10O15
1.0
-1.668 7.170 -2.518
-6.863 -1.316 3.420
3.330 3.608 8.070
O Cr Li
30 20 2
Cartesian
-4.512 3.011 8.684 O
-4.194 7.439 4.016 O
0.332 4.051 9.025 O
-1.259 6.922 2.953 O
-3.009 4.978 -0.984 O
-3.208 5.100 7.460 O
1.665 1.804 4.035 O
-3.942 2.539 6.019 O
1.097 6.680 4.853 O
-3.700 7.025 1.150 O
-1.006 2.023 4.956 O
-6.298 2.782 4.119 O
1.685 6.261 7.478 O
-5.521 0.875 1.887 O
-1.840 7.335 5.896 O
-4.265 2.927 0.451 O
-6.886 3.200 1.494 O
-1.500 2.437 7.822 O
-0.654 4.746 6.211 O
-4.547 4.716 2.761 O
-5.533 5.411 -0.053 O
-4.781 7.822 6.997 O
-4.515 0.199 4.662 O
-0.685 9.262 4.310 O
0.347 4.233 3.409 O
-0.420 1.639 1.975 O
-1.993 4.361 1.512 O
-0.689 6.450 0.289 O
-5.548 5.228 5.563 O
-3.361 2.126 3.076 O
-1.174 4.586 -0.318 Cr
-3.860 0.199 2.752 Cr
-3.344 1.610 7.819 Cr
-5.137 2.869 2.468 Cr
0.536 7.947 3.384 Cr
-0.349 5.431 1.996 Cr
-3.822 5.017 0.964 Cr
-2.858 1.332 4.864 Cr
-1.379 4.444 8.008 Cr
-2.343 8.129 4.108 Cr
-0.063 6.593 6.505 Cr
-5.706 6.077 3.692 Cr
-2.982 7.154 7.615 Cr
-5.737 1.514 5.588 Cr
-4.852 4.030 6.976 Cr
0.505 3.385 5.280 Cr
-4.027 4.876 9.290 Cr
-2.218 2.307 1.357 Cr
-1.857 7.852 1.154 Cr
-1.341 9.263 6.221 Cr
-2.600 4.731 4.486 Li
0.000 0.000 0.000 Li
```

The calculation puts the theoretical density at 4.482 Mg/m³. As for the energy with MP2020 corrections: -8.875 eV/atom. As for the space-group type: No. 64. For the uncorrected energy, the calculation gives -400.9 eV/cell.

Computed, not measured: an optimized crystal structure of Li2CrO3 at the PBE+U level of DFT.

Geometry as POSCAR:
```
Li2CrO3
1.0
-0.003 1.507 -2.502
9.334 2.885 0.088
2.388 -5.307 -5.010
Li Cr O
8 4 12
Cartesian
9.098 -1.670 -6.187 Li
0.795 -1.266 -2.502 Li
6.655 -2.478 -4.966 Li
8.393 -0.430 -3.690 Li
2.531 0.781 -1.230 Li
3.239 -0.459 -3.725 Li
7.683 2.318 -3.695 Li
4.209 -1.777 -6.245 Li
5.001 1.656 -2.440 Cr
5.920 0.202 -4.983 Cr
0.057 1.415 -2.520 Cr
10.862 0.445 -4.900 Cr
1.550 0.595 -3.078 O
5.897 -2.830 -6.892 O
4.346 -0.134 -1.836 O
2.398 -2.409 -3.173 O
6.579 0.485 -3.086 O
5.871 1.686 -0.627 O
10.206 -1.345 -4.295 O
7.413 -0.619 -5.542 O
9.370 1.266 -4.341 O
3.105 -3.609 -5.632 O
5.054 -1.335 -4.295 O
8.525 2.761 -1.743 O
```

The calculation puts the theoretical density at 3.568 Mg/m³. As for the energy with MP2020 corrections: -6.931 eV/atom. For the energy above the most stable polymorph in this dataset, the calculation gives 0.037 eV/atom. For the uncorrected energy, the calculation gives -150.1 eV/cell.